Record 1
An optimized crystal structure of V6Ga5. Source: the Materials Project, functional PBE.

Calculated values
SG   P6_3/mmc, No. 194

a = 8.4867 Å, b = 8.4867 Å, c = 5.1245 Å
α = 90.00°, β = 90.00°, γ = 120.00°
Atoms (fractional coordinates):
1 Ga 0.7962 0.2038 0.2500
2 Ga 0.0000 0.0000 0.0000
3 Ga 0.3333 0.6667 0.2500
4 Ga 0.2038 0.4075 0.7500
5 Ga 0.6667 0.3333 0.7500
6 Ga 0.5925 0.7962 0.7500
7 Ga 0.4075 0.2038 0.2500
8 Ga 0.7962 0.5925 0.2500
9 Ga 0.2038 0.7962 0.7500
10 Ga 0.0000 0.0000 0.5000
11 V 0.5000 0.0000 0.0000
12 V 0.5000 0.5000 0.5000
13 V 0.8432 0.1568 0.7500
14 V 0.8432 0.6864 0.7500
15 V 0.5000 0.5000 0.0000
16 V 0.1568 0.3136 0.2500
17 V 0.6864 0.8432 0.2500
18 V 0.5000 0.0000 0.5000
19 V 0.0000 0.5000 0.0000
20 V 0.3136 0.1568 0.7500
21 V 0.0000 0.5000 0.5000
22 V 0.1568 0.8432 0.2500

---

Record 2
An optimized crystal structure of PrNdMg2. Source: the Materials Project, functional PBE.

Calculated values
SG   Fm-3m, No. 225

a = 5.5192 Å, b = 5.5192 Å, c = 5.5192 Å
α = 60.00°, β = 60.00°, γ = 60.00°
Atoms (fractional coordinates):
1 Nd 0.5000 0.5000 0.5000
2 Mg 0.2500 0.2500 0.2500
3 Mg 0.7500 0.7500 0.7500
4 Pr 0.0000 0.0000 0.0000

---

Record 3
An optimized crystal structure of Al5Mo. Source: the Materials Project, functional PBE.

Calculated values
Distance to the lowest polymorph of the same formula   2 meV per atom
SG   P321, No. 150

a = 4.9410 Å, b = 4.9410 Å, c = 43.9813 Å
α = 90.00°, β = 90.00°, γ = 120.00°
Atoms (fractional coordinates):
1 Al 0.6654 0.6755 0.0999
2 Al 0.0083 0.6749 0.2000
3 Al 0.0000 0.0000 0.2499
4 Al 0.3333 0.6667 0.9482
5 Al 0.6666 0.9917 0.2000
6 Al 0.0000 0.0000 0.4516
7 Al 0.6657 0.9888 0.5998
8 Al 0.3333 0.6667 0.7502
9 Al 0.3333 0.6667 0.4484
10 Al 0.9914 0.3227 0.6999
11 Al 0.0000 0.3444 0.5000
12 Al 0.3333 0.6667 0.3515
13 Al 0.6667 0.3333 0.0518
14 Al 0.3251 0.3334 0.2000
15 Al 0.3333 0.6667 0.6518
16 Al 0.0000 0.0000 0.7501
17 Al 0.6556 0.6556 0.5000
18 Al 0.0000 0.0000 0.0485
19 Al 0.6667 0.3333 0.1501
20 Al 0.6749 0.0083 0.8000
21 Al 0.3245 0.9899 0.0999
22 Al 0.3333 0.6667 0.8499
23 Al 0.6768 0.0112 0.4002
24 Al 0.6773 0.6686 0.6999
25 Al 0.0000 0.0000 0.5484
26 Al 0.9899 0.3245 0.9001
27 Al 0.0086 0.3314 0.3001
28 Al 0.6755 0.6654 0.9001
29 Al 0.6686 0.6773 0.3001
30 Al 0.0101 0.3346 0.0999
31 Al 0.6667 0.3333 0.5516
32 Al 0.3333 0.6667 0.1501
33 Al 0.3314 0.0086 0.6999
34 Al 0.3346 0.0101 0.9001
35 Al 0.3227 0.9914 0.3001
36 Al 0.3343 0.3232 0.4002
37 Al 0.6667 0.3333 0.3482
38 Al 0.6576 0.0000 0.0000
39 Al 0.6667 0.3333 0.2498
40 Al 0.3334 0.3251 0.8000
41 Al 0.9917 0.6666 0.8000
42 Al 0.6667 0.3333 0.6485
43 Al 0.0000 0.6576 0.0000
44 Al 0.0112 0.6768 0.5998
45 Al 0.0000 0.0000 0.9515
46 Al 0.3424 0.3424 0.0000
47 Al 0.9888 0.6657 0.4002
48 Al 0.3444 0.0000 0.5000
49 Al 0.6667 0.3333 0.8499
50 Al 0.3232 0.3343 0.5998
51 Mo 0.0000 0.0000 0.6490
52 Mo 0.0000 0.0000 0.8507
53 Mo 0.6667 0.3333 0.7492
54 Mo 0.0000 0.0000 0.1493
55 Mo 0.6667 0.3333 0.9507
56 Mo 0.3333 0.6667 0.2508
57 Mo 0.3333 0.6667 0.0493
58 Mo 0.0000 0.0000 0.3510
59 Mo 0.3333 0.6667 0.5498
60 Mo 0.6667 0.3333 0.4502

---

| no. | total energy (eV for the cell shown) | ΔH_f (0 K) (kJ/mol of formula units) |
| --- | --- | --- |
| 1 | -144.0 | -226 |
| 2 | -13.2 | -41 |
| 3 | -310.2 | -139 |